Sc22Fe7S40: relaxed, PBE.

a b c (Å): 7.423 7.388 36.491
angles (deg): 60.18 60.27 60.71
Atoms (fractional coordinates):
Sc (0.505, 0.494, 0.098)
Sc (0.003, 0.502, 0.700)
Sc (0.504, 0.500, 0.999)
Sc (0.452, 0.017, 0.407)
Sc (0.510, 0.480, 0.405)
Sc (0.497, 0.501, 0.603)
Sc (0.006, 0.501, 0.901)
Sc (0.503, 0.491, 0.299)
Sc (0.009, 0.499, 0.497)
Sc (0.504, 0.014, 0.097)
Sc (0.503, 0.012, 0.299)
Sc (0.467, 0.997, 0.604)
Sc (0.463, 0.011, 0.203)
Sc (0.458, 0.025, 0.997)
Sc (0.503, 0.492, 0.202)
Sc (0.467, 0.002, 0.803)
Sc (0.997, 0.461, 0.605)
Sc (0.010, 0.498, 0.098)
Sc (0.005, 0.497, 0.301)
Sc (0.497, 0.500, 0.802)
Sc (0.507, 0.489, 0.497)
Sc (0.999, 0.460, 0.804)
S (0.246, 0.251, 0.550)
S (0.757, 0.750, 0.647)
S (0.249, 0.253, 0.651)
S (0.283, 0.739, 0.148)
S (0.266, 0.722, 0.551)
S (0.251, 0.741, 0.851)
S (0.743, 0.248, 0.151)
S (0.745, 0.247, 0.950)
S (0.246, 0.745, 0.451)
S (0.745, 0.245, 0.351)
S (0.253, 0.269, 0.946)
S (0.760, 0.749, 0.846)
S (0.247, 0.256, 0.251)
S (0.719, 0.272, 0.854)
S (0.247, 0.256, 0.148)
S (0.248, 0.740, 0.251)
S (0.742, 0.755, 0.250)
S (0.721, 0.266, 0.654)
S (0.733, 0.257, 0.051)
S (0.285, 0.742, 0.347)
S (0.250, 0.254, 0.050)
S (0.743, 0.757, 0.350)
S (0.758, 0.749, 0.752)
S (0.249, 0.743, 0.050)
S (0.733, 0.270, 0.550)
S (0.735, 0.257, 0.251)
S (0.755, 0.750, 0.553)
S (0.248, 0.740, 0.653)
S (0.250, 0.253, 0.851)
S (0.248, 0.255, 0.349)
S (0.728, 0.274, 0.748)
S (0.735, 0.267, 0.450)
S (0.293, 0.724, 0.944)
S (0.742, 0.756, 0.151)
S (0.746, 0.754, 0.050)
S (0.738, 0.762, 0.449)
S (0.242, 0.264, 0.450)
S (0.251, 0.256, 0.749)
S (0.744, 0.755, 0.952)
S (0.274, 0.716, 0.748)
Fe (0.927, 0.857, 0.970)
Fe (0.484, 0.489, 0.901)
Fe (0.912, 0.906, 0.569)
Fe (0.917, 0.909, 0.770)
Fe (0.914, 0.854, 0.375)
Fe (0.912, 0.865, 0.172)
Fe (0.494, 0.497, 0.697)

Output
- VASP energy (eV/atom) = -6.73
- SG = P1
- ρ (g/cm³) = 3.10
- E (MP2020) (eV/atom) = -7.022